No. 1
16
Lattice="10.654 0.000 0.000 0.000 3.339 5.788 0.000 -3.339 5.788" Properties=species:S:1:pos:R:3 comment="PBE BaYMg14, optimized geometry" sg="Amm2 (38)" magmom_total_mub_per_cell=0.00 energy_ev_per_atom=-1.861 volume_a3_per_cell=411.8 delta_e_f_ev_per_atom=0.063 pbc="T T T"
Ba 0.000 0.000 0.000
Y 0.000 0.000 5.716
Mg 0.000 -1.668 2.906
Mg 0.000 1.668 2.906
Mg 2.673 0.000 7.734
Mg 2.793 0.000 2.016
Mg 2.832 -1.617 4.789
Mg 2.832 1.617 4.789
Mg 5.327 0.000 0.004
Mg 5.327 -1.659 8.676
Mg 5.327 0.000 5.807
Mg 5.327 1.659 8.676
Mg 7.822 -1.617 4.789
Mg 7.822 1.617 4.789
Mg 7.861 0.000 2.016
Mg 7.981 0.000 7.734

No. 2
16
Lattice="6.753 0.000 0.000 -3.376 5.848 0.000 0.000 0.000 10.510" Properties=species:S:1:pos:R:3 comment="PBE BaYMg14, optimized geometry" sg="P-6m2 (187)" magmom_total_mub_per_cell=0.03 energy_ev_per_atom=-1.873 volume_a3_per_cell=415.0 delta_e_f_ev_per_atom=0.052 pbc="T T T"
Ba 0.000 0.000 0.000
Y 0.000 0.000 5.255
Mg -1.661 2.940 5.255
Mg -1.629 2.959 0.000
Mg 0.000 2.048 2.709
Mg 0.000 2.048 7.801
Mg -1.603 4.824 2.709
Mg -1.603 4.824 7.801
Mg 1.629 2.959 0.000
Mg 0.000 5.779 0.000
Mg 1.661 2.940 5.255
Mg 0.000 5.817 5.255
Mg 1.603 4.824 2.709
Mg 1.603 4.824 7.801
Mg 3.376 1.949 2.604
Mg 3.376 1.949 7.905

No. 3
80
Lattice="8.070 0.000 0.000 0.000 11.283 0.000 -5.203 0.000 19.229" Properties=species:S:1:pos:R:3 comment="PBE Ba8Mn3N9, optimized geometry" sg="P2_1/c (14)" magmom_total_mub_per_cell=16.00 energy_ev_per_atom=-6.532 volume_a3_per_cell=1751.0 delta_e_f_ev_per_atom=-0.802 pbc="T T T"
Ba -0.744 1.408 2.826
Ba -3.345 4.234 12.441
Ba -0.245 7.076 2.774
Ba -2.847 9.849 12.388
Ba -1.364 1.470 10.569
Ba 1.237 4.171 0.955
Ba -1.234 7.056 10.720
Ba 1.368 9.869 1.105
Ba -1.899 6.937 14.793
Ba 0.703 9.987 5.178
Ba -1.783 1.560 14.974
Ba 0.819 4.082 5.359
Ba 1.685 1.420 8.125
Ba -0.917 4.222 17.739
Ba 1.765 7.067 7.960
Ba -0.836 9.858 17.575
Ba 3.703 1.425 1.654
Ba 1.101 4.216 11.269
Ba 3.784 7.061 1.490
Ba 1.182 9.863 11.104
Ba 2.048 7.201 13.870
Ba 4.650 9.723 4.255
Ba 2.164 1.296 14.051
Ba 4.765 4.346 4.436
Ba 1.499 1.415 18.124
Ba 4.101 4.227 8.509
Ba 1.629 7.112 18.275
Ba 4.231 9.813 8.660
Ba 5.714 1.434 6.841
Ba 3.112 4.207 16.456
Ba 6.212 7.050 6.788
Ba 3.610 9.875 16.403
Mn -3.243 1.427 17.991
Mn -0.641 4.215 8.376
Mn -3.183 7.034 17.930
Mn -0.581 9.891 8.316
Mn 2.323 7.213 4.709
Mn -0.279 9.711 14.324
Mn 3.146 1.572 4.905
Mn 0.544 4.070 14.520
Mn 3.448 1.392 10.913
Mn 6.049 4.249 1.299
Mn 3.508 7.068 10.853
Mn 6.109 9.857 1.238
N -4.229 7.003 16.532
N -1.627 9.922 6.918
N -4.171 1.440 16.498
N -1.569 4.202 6.884
N 1.159 1.429 0.284
N -1.442 4.213 9.899
N 1.275 7.016 0.278
N -1.326 9.909 9.893
N 0.711 6.920 5.355
N -1.891 10.005 14.969
N 1.719 1.393 3.952
N -0.883 4.249 13.567
N 2.275 8.364 3.416
N -0.327 8.561 13.031
N -1.543 1.373 17.907
N 1.059 4.268 8.292
N -1.467 7.040 17.800
N 1.135 9.885 8.186
N 1.732 1.398 11.043
N 4.333 4.243 1.429
N 1.808 7.015 10.937
N 4.409 9.910 1.322
N 3.194 2.722 6.199
N 0.592 2.919 15.813
N 3.750 7.034 5.662
N 1.148 9.890 15.277
N 4.758 1.278 4.260
N 2.156 4.363 13.874
N 4.193 1.374 9.336
N 1.592 4.267 18.951
N 4.309 7.070 9.330
N 1.707 9.854 18.945
N 4.436 7.081 12.345
N 7.038 9.844 2.731
N 4.494 1.361 12.311
N 7.096 4.281 2.697

No. 4
18
Lattice="6.468 0.000 0.000 -0.830 7.370 0.000 -0.611 -2.517 9.061" Properties=species:S:1:pos:R:3 comment="PBE Ba4MnN4, optimized geometry" sg="P-1 (2)" magmom_total_mub_per_cell=2.00 energy_ev_per_atom=-6.108 volume_a3_per_cell=431.9 delta_e_f_ev_per_atom=-0.692 pbc="T T T"
Ba 0.893 2.083 3.889
Ba 0.576 1.591 8.093
Ba 1.429 0.530 0.821
Ba 1.307 -1.372 5.691
Ba 3.719 6.225 3.370
Ba 3.597 4.322 8.240
Ba 4.450 3.261 0.968
Ba 4.133 2.769 5.172
Mn 0.503 5.051 2.368
Mn 4.524 -0.198 6.693
N -0.593 4.193 3.457
N -0.383 5.443 0.885
N 1.806 -0.795 3.095
N 1.902 4.060 1.999
N 3.124 0.793 7.062
N 3.220 5.648 5.966
N 5.409 -0.591 8.176
N 5.620 0.660 5.604

No. 5
16
Lattice="2.907 -5.733 0.000 2.907 5.733 0.000 0.000 0.000 7.795" Properties=species:S:1:pos:R:3 comment="PBE BaMnN2, optimized geometry" sg="Cmce (64)" energy_ev_per_atom=-7.606 volume_a3_per_cell=259.8 delta_e_f_ev_per_atom=-0.848 pbc="T T T"
Ba 2.907 3.938 7.329
Ba 2.907 1.795 3.432
Ba 2.907 -1.795 4.363
Ba 2.907 -3.938 0.466
Mn 2.907 5.163 2.855
Mn 2.907 0.570 6.752
Mn 2.907 -0.570 1.043
Mn 2.907 -5.163 4.940
N 2.907 4.467 4.559
N 1.453 0.976 5.846
N 1.453 -0.976 1.949
N 2.907 1.266 0.662
N 2.907 -1.266 7.133
N 4.360 0.976 5.846
N 4.360 -0.976 1.949
N 2.907 -4.467 3.236

No. 6
36
Lattice="6.254 0.000 0.000 0.000 9.924 0.000 0.000 0.000 10.131" Properties=species:S:1:pos:R:3 comment="PBE Ba3Mn2N4, optimized geometry" sg="Pnna (52)" magmom_total_mub_per_cell=5.42 energy_ev_per_atom=-6.880 volume_a3_per_cell=628.8 delta_e_f_ev_per_atom=-0.660 pbc="T T T"
Ba 0.749 1.543 0.848
Ba 0.749 3.418 4.218
Ba 1.564 0.000 4.103
Ba 1.564 4.962 0.962
Ba 2.378 6.505 4.218
Ba 2.378 8.380 0.848
Ba 3.876 1.543 9.283
Ba 3.876 3.418 5.913
Ba 4.691 0.000 6.028
Ba 4.691 4.962 9.169
Ba 5.505 6.505 5.913
Ba 5.505 8.380 9.283
Mn 1.084 2.481 7.598
Mn 1.564 0.000 7.463
Mn 1.564 4.962 7.734
Mn 2.043 7.443 7.598
Mn 4.211 2.481 2.533
Mn 4.691 0.000 2.668
Mn 4.691 4.962 2.397
Mn 5.170 7.443 2.533
N 0.237 0.945 8.374
N 0.237 4.016 6.822
N 0.888 6.400 8.694
N 0.888 8.486 6.502
N 2.239 1.438 6.502
N 2.239 3.524 8.694
N 2.890 5.907 6.822
N 2.890 8.978 8.374
N 3.364 0.945 1.757
N 3.364 4.016 3.309
N 4.015 6.400 1.437
N 4.015 8.486 3.628
N 5.366 1.438 3.628
N 5.366 3.524 1.437
N 6.017 5.907 3.309
N 6.017 8.978 1.757

No. 7
84
Lattice="10.735 0.000 0.000 0.000 10.735 0.000 0.000 0.000 10.735" Properties=species:S:1:pos:R:3 comment="PBE BaMn2N4, optimized geometry" sg="Pa-3 (205)" magmom_total_mub_per_cell=0.03 energy_ev_per_atom=-8.045 volume_a3_per_cell=1237.0 delta_e_f_ev_per_atom=-0.596 pbc="T T T"
Ba 0.000 0.000 0.000
Ba 0.000 5.367 5.367
Ba 1.340 6.707 9.395
Ba 1.340 9.395 4.028
Ba 4.028 1.340 9.395
Ba 4.028 4.028 4.028
Ba 5.367 0.000 5.367
Ba 5.367 5.367 0.000
Ba 6.707 6.707 6.707
Ba 6.707 9.395 1.340
Ba 9.395 1.340 6.707
Ba 9.395 4.028 1.340
Mn 1.229 2.077 3.727
Mn 1.229 3.290 9.095
Mn 1.640 6.597 2.077
Mn 1.640 9.505 7.444
Mn 2.077 1.640 6.597
Mn 2.077 3.727 1.229
Mn 3.290 7.007 6.597
Mn 3.290 9.095 1.229
Mn 3.727 1.229 2.077
Mn 3.727 4.138 7.444
Mn 4.138 7.444 3.727
Mn 4.138 8.658 9.095
Mn 6.597 2.077 1.640
Mn 6.597 3.290 7.007
Mn 7.007 6.597 3.290
Mn 7.007 9.505 8.658
Mn 7.444 1.640 9.505
Mn 7.444 3.727 4.138
Mn 8.658 7.007 9.505
Mn 8.658 9.095 4.138
Mn 9.095 1.229 3.290
Mn 9.095 4.138 8.658
Mn 9.505 7.444 1.640
Mn 9.505 8.658 7.007
N 0.037 0.958 2.941
N 0.037 4.410 8.308
N 0.958 2.427 5.404
N 0.958 2.941 0.037
N 1.350 1.820 8.172
N 1.350 3.548 2.804
N 1.820 7.930 6.717
N 1.820 8.172 1.350
N 2.427 5.404 0.958
N 2.427 10.698 6.325
N 2.563 6.717 3.548
N 2.563 9.385 8.915
N 2.804 1.350 3.548
N 2.804 4.018 8.915
N 2.941 0.037 0.958
N 2.941 5.331 6.325
N 3.548 2.563 6.717
N 3.548 2.804 1.350
N 4.018 7.187 8.172
N 4.018 8.915 2.804
N 4.410 7.794 5.404
N 4.410 8.308 0.037
N 5.331 6.325 2.941
N 5.331 9.777 8.308
N 5.404 0.958 2.427
N 5.404 4.410 7.794
N 6.325 2.427 10.698
N 6.325 2.941 5.331
N 6.717 1.820 7.930
N 6.717 3.548 2.563
N 7.187 7.930 9.385
N 7.187 8.172 4.018
N 7.794 5.404 4.410
N 7.794 10.698 9.777
N 7.930 6.717 1.820
N 7.930 9.385 7.187
N 8.172 1.350 1.820
N 8.172 4.018 7.187
N 8.308 0.037 4.410
N 8.308 5.331 9.777
N 8.915 2.563 9.385
N 8.915 2.804 4.018
N 9.385 7.187 7.930
N 9.385 8.915 2.563
N 9.777 7.794 10.698
N 9.777 8.308 5.331
N 10.698 6.325 2.427
N 10.698 9.777 7.794

No. 8
22
Lattice="5.934 0.000 0.000 -0.714 7.440 0.000 -2.179 -3.035 8.185" Properties=species:S:1:pos:R:3 comment="PBE Ba3Mn3N5, optimized geometry" sg="P-1 (2)" magmom_total_mub_per_cell=0.00 energy_ev_per_atom=-7.318 volume_a3_per_cell=361.4 delta_e_f_ev_per_atom=-0.671 pbc="T T T"
Ba -0.176 1.558 3.096
Ba -0.767 -0.826 5.855
Ba 0.932 6.520 0.903
Ba 2.109 -2.114 7.282
Ba 3.808 5.232 2.330
Ba 3.218 2.848 5.089
Mn 0.557 3.269 0.643
Mn 0.843 4.693 3.874
Mn 0.376 2.139 6.462
Mn 2.666 2.266 1.723
Mn 2.198 -0.287 4.311
Mn 2.484 1.137 7.542
N -1.552 1.357 7.325
N 0.709 -1.105 3.525
N 1.434 1.706 0.335
N 0.221 3.498 5.101
N 1.381 3.795 2.294
N 1.661 0.610 5.891
N 2.820 0.908 3.083
N 1.608 2.700 7.850
N 2.333 5.511 4.660
N 4.593 3.048 0.860

No. 9
5
Lattice="-2.064 2.074 6.571 2.064 -2.074 6.571 2.064 2.074 -6.571" Properties=species:S:1:pos:R:3 comment="PBE Ba2MnN2, optimized geometry" sg="Immm (71)" magmom_total_mub_per_cell=1.00 energy_ev_per_atom=-6.340 volume_a3_per_cell=112.5 delta_e_f_ev_per_atom=-0.550 pbc="T T T"
Ba 0.000 0.000 1.857
Ba 0.000 0.000 11.286
Mn 0.000 0.000 6.571
N 0.000 0.000 4.840
N 0.000 0.000 8.302

No. 10
18
Lattice="6.234 -4.458 0.000 6.234 4.458 0.000 -0.272 0.000 5.696" Properties=species:S:1:pos:R:3 comment="PBE Ba3Mn2N4, optimized geometry" sg="C2/c (15)" magmom_total_mub_per_cell=3.76 energy_ev_per_atom=-6.800 volume_a3_per_cell=316.6 delta_e_f_ev_per_atom=-0.579 pbc="T T T"
Ba 6.030 3.606 4.272
Ba 4.504 1.188 2.522
Ba 7.828 1.188 0.326
Ba 4.368 -1.188 5.370
Ba 7.692 -1.188 3.174
Ba 6.166 -3.606 1.424
Mn 2.413 1.110 5.342
Mn 2.549 -1.110 2.494
Mn 9.647 1.110 3.202
Mn 9.783 -1.110 0.354
N 2.199 0.352 3.636
N 4.175 1.760 5.481
N 2.335 -0.352 0.788
N 7.885 1.760 3.062
N 4.311 -1.760 2.633
N 9.861 0.352 4.908
N 8.021 -1.760 0.214
N 9.997 -0.352 2.060

No. 11
24
Lattice="8.909 0.000 0.000 0.000 4.352 0.000 0.000 0.000 17.208" Properties=species:S:1:pos:R:3 comment="PBE Ba2MnS3, optimized geometry" sg="Pnma (62)" energy_ev_per_atom=-5.847 volume_a3_per_cell=667.2 delta_e_f_ev_per_atom=-1.864 pbc="T T T"
Ba 0.740 1.088 3.688
Ba 2.184 1.088 16.464
Ba 2.271 3.264 7.860
Ba 3.714 3.264 12.292
Ba 5.194 1.088 4.917
Ba 6.638 1.088 9.348
Ba 6.725 3.264 0.744
Ba 8.168 3.264 13.521
Mn 1.144 1.088 10.902
Mn 3.310 3.264 2.298
Mn 5.599 1.088 14.910
Mn 7.764 3.264 6.306
S 0.050 3.264 10.353
S 1.167 3.264 1.255
S 1.586 1.088 13.258
S 2.868 3.264 4.654
S 3.287 1.088 9.859
S 4.404 1.088 1.749
S 4.504 3.264 15.460
S 5.622 3.264 7.349
S 6.041 1.088 12.554
S 7.322 3.264 3.950
S 7.741 1.088 15.953
S 8.859 1.088 6.856

No. 12
8
Lattice="-2.243 2.243 12.355 2.243 -2.243 12.355 2.243 2.243 -12.355" Properties=species:S:1:pos:R:3 comment="PBE BaMnSb2, optimized geometry" sg="I4/mmm (139)" magmom_total_mub_per_cell=8.32 energy_ev_per_atom=-5.288 volume_a3_per_cell=248.7 delta_e_f_ev_per_atom=-0.549 pbc="T T T"
Ba 0.000 0.000 2.835
Ba 0.000 0.000 21.875
Mn 2.243 0.000 6.178
Mn 0.000 2.243 6.178
Sb 2.243 0.000 0.000
Sb 0.000 0.000 7.776
Sb 0.000 2.243 0.000
Sb 0.000 0.000 16.935